1.
Material: MgMnCu2SnS4
Method: DFT, PBE
State: optimized geometry

Values from the calculation:
**Symmetry**: Fmm2, No. 42

Geometry as CIF:
```
data_MgMnCu2SnS4
_cell_length_a 5.7838
_cell_length_b 5.7838
_cell_length_c 7.2402
_cell_angle_alpha 116.11
_cell_angle_beta 116.11
_cell_angle_gamma 84.17
_space_group_name_H-M_alt 'P 1'
_space_group_IT_number 1
_space_group_name_Hall 'P 1'
loop_
_atom_site_label
_atom_site_type_symbol
_atom_site_fract_x
_atom_site_fract_y
_atom_site_fract_z
Mg1 Mg 0.2576 0.2576 0.5152
Mn1 Mn 0.9948 0.9948 0.9895
Cu1 Cu 0.7477 0.2477 0.4954
Cu2 Cu 0.2477 0.7477 0.4954
Sn1 Sn 0.5274 0.5274 0.0547
S1 S 0.9145 0.9145 0.2603
S2 S 0.3458 0.3458 0.2603
S3 S 0.0880 0.6265 0.7145
S4 S 0.6265 0.0880 0.7145
```

2.
Material: Mg6CuMo
Method: DFT, PBE
State: optimized geometry

Geometry as CIF:
```
data_Mg6CuMo
_cell_length_a 4.8099
_cell_length_b 6.0669
_cell_length_c 10.5546
_cell_angle_alpha 90.00
_cell_angle_beta 90.00
_cell_angle_gamma 90.00
_space_group_name_H-M_alt 'P 1'
_space_group_IT_number 1
_space_group_name_Hall 'P 1'
loop_
_atom_site_label
_atom_site_type_symbol
_atom_site_fract_x
_atom_site_fract_y
_atom_site_fract_z
Mg1 Mg 0.0000 0.2639 0.0912
Mg2 Mg 0.0000 0.7361 0.0912
Mg3 Mg 0.0000 0.0000 0.3339
Mg4 Mg 0.5000 0.7402 0.4150
Mg5 Mg 0.5000 0.2598 0.4150
Mg6 Mg 0.5000 0.0000 0.1659
Mg7 Mg 0.0000 0.7639 0.5912
Mg8 Mg 0.0000 0.2361 0.5912
Mg9 Mg 0.0000 0.5000 0.8339
Mg10 Mg 0.5000 0.2402 0.9150
Mg11 Mg 0.5000 0.7598 0.9150
Mg12 Mg 0.5000 0.5000 0.6659
Cu1 Cu 0.0000 0.5000 0.3173
Cu2 Cu 0.0000 0.0000 0.8173
Mo1 Mo 0.5000 0.5000 0.1705
Mo2 Mo 0.5000 0.0000 0.6705
```

Number 1: energy relative to the elements -5.8 eV/f.u., relative energy among the computed polymorphs 0 meV per atom, magnetization 5.0 μB/cell. Number 2: energy relative to the elements 1.8 eV/f.u., relative energy among the computed polymorphs 0 meV per atom, magnetization 0.8 μB/cell.